DFT (PBE) results for a relaxed Mg16ScAl12 crystal.

a b c (Å): 9.1694 9.1694 9.1694
angles (deg): 109.99 109.99 109.99
Fractional positions:
Mg 0.0000 0.0000 0.0000
Mg 0.0010 0.3138 0.6070
Mg 0.0010 0.6070 0.3138
Mg 0.0059 0.0059 0.3459
Mg 0.0059 0.3459 0.0059
Mg 0.2843 0.6868 0.6868
Mg 0.3138 0.0010 0.6070
Mg 0.3138 0.6070 0.0010
Mg 0.3459 0.0059 0.0059
Mg 0.3971 0.3971 0.7223
Mg 0.3971 0.7223 0.3971
Mg 0.6070 0.0010 0.3138
Mg 0.6070 0.3138 0.0010
Mg 0.6868 0.2843 0.6868
Mg 0.6868 0.6868 0.2843
Mg 0.7223 0.3971 0.3971
Sc 0.6307 0.6307 0.6307
Al 0.1918 0.1918 0.8274
Al 0.1918 0.8274 0.1918
Al 0.1930 0.3753 0.3753
Al 0.3753 0.1930 0.3753
Al 0.3753 0.3753 0.1930
Al 0.6366 0.8145 0.9973
Al 0.6366 0.9973 0.8145
Al 0.8145 0.6366 0.9973
Al 0.8145 0.9973 0.6366
Al 0.8274 0.1918 0.1918
Al 0.9973 0.6366 0.8145
Al 0.9973 0.8145 0.6366

Computed properties:
The energy of formation is -0.058 eV/atom. The calculation puts the calculated total energy at -2.709 eV/atom. For the polymorph energy (0 for the lowest one), the calculation gives 3 meV per atom. As for the spin magnetization: 0.00 μB per formula unit.

DFT (PBE) results for a relaxed Mg16Al12Se crystal.

a b c (Å): 9.0679 9.0679 9.0679
angles (deg): 108.87 108.87 108.87
Fractional positions:
Mg 0.0000 0.0000 0.0000
Mg 0.0282 0.0282 0.3740
Mg 0.0282 0.3740 0.0282
Mg 0.0307 0.3519 0.6262
Mg 0.0307 0.6262 0.3519
Mg 0.3179 0.7167 0.7167
Mg 0.3519 0.0307 0.6262
Mg 0.3519 0.6262 0.0307
Mg 0.3740 0.0282 0.0282
Mg 0.4396 0.4396 0.7349
Mg 0.4396 0.7349 0.4396
Mg 0.6262 0.0307 0.3519
Mg 0.6262 0.3519 0.0307
Mg 0.7167 0.3179 0.7167
Mg 0.7167 0.7167 0.3179
Mg 0.7349 0.4396 0.4396
Al 0.0408 0.6648 0.8525
Al 0.0408 0.8525 0.6648
Al 0.1922 0.3815 0.3815
Al 0.2168 0.2168 0.8378
Al 0.2168 0.8378 0.2168
Al 0.3815 0.1922 0.3815
Al 0.3815 0.3815 0.1922
Al 0.6648 0.0408 0.8525
Al 0.6648 0.8525 0.0408
Al 0.8378 0.2168 0.2168
Al 0.8525 0.0408 0.6648
Al 0.8525 0.6648 0.0408
Se 0.6565 0.6565 0.6565

Computed properties:
The energy of formation is -0.043 eV/atom. The calculation puts the calculated total energy at -2.580 eV/atom. As for the spin magnetization: 0.02 μB per formula unit.

DFT (PBE) results for a relaxed Mg2Al2Se5 crystal.

a b c (Å): 3.9177 3.9177 16.5000
angles (deg): 90.00 90.00 120.00
Fractional positions:
Mg 0.3333 0.6667 0.0975
Mg 0.6667 0.3333 0.9025
Al 0.3333 0.6667 0.6764
Al 0.6667 0.3333 0.3236
Se 0.0000 0.0000 0.0000
Se 0.3333 0.6667 0.3885
Se 0.3333 0.6667 0.8165
Se 0.6667 0.3333 0.1835
Se 0.6667 0.3333 0.6115

Computed properties:
The energy of formation is -1.310 eV/atom. The calculation puts the calculated total energy at -4.178 eV/atom.

DFT (PBE) results for a relaxed Mg2Al3Si6 crystal.

a b c (Å): 8.1419 8.1419 6.7218
angles (deg): 90.99 90.99 25.79
Fractional positions:
Mg 0.1703 0.1703 0.4860
Mg 0.8297 0.8297 0.5140
Al 0.0000 0.0000 0.5000
Al 0.0715 0.0715 0.8856
Al 0.9285 0.9285 0.1144
Si 0.2994 0.2994 0.2041
Si 0.3058 0.3058 0.8438
Si 0.4539 0.4539 0.7576
Si 0.5461 0.5461 0.2424
Si 0.6942 0.6942 0.1562
Si 0.7006 0.7006 0.7959

Computed properties:
The energy of formation is 0.225 eV/atom. The calculation puts the calculated total energy at -4.085 eV/atom. For the polymorph energy (0 for the lowest one), the calculation gives 0 meV per atom. As for the spin magnetization: 0.00 μB per formula unit.

DFT (PBE) results for a relaxed MgAlSi crystal.

a b c (Å): 6.6684 3.9733 8.1204
angles (deg): 90.00 90.00 90.00
Fractional positions:
Mg 0.0362 0.2500 0.1716
Mg 0.4638 0.7500 0.6716
Mg 0.5362 0.2500 0.3284
Mg 0.9638 0.7500 0.8284
Al 0.1408 0.2500 0.5703
Al 0.3592 0.7500 0.0703
Al 0.6408 0.2500 0.9297
Al 0.8592 0.7500 0.4297
Si 0.2391 0.7500 0.3786
Si 0.2609 0.2500 0.8786
Si 0.7391 0.7500 0.1214
Si 0.7609 0.2500 0.6214

Computed properties:
The energy of formation is -0.015 eV/atom. The calculation puts the calculated total energy at -3.629 eV/atom. As for the spin magnetization: 0.00 μB per formula unit.

DFT (PBE) results for a relaxed Mg4AlSi3 crystal.

a b c (Å): 6.5593 6.5593 13.8206
angles (deg): 90.00 90.00 90.00
Fractional positions:
Mg 0.0662 0.5945 0.0971
Mg 0.0662 0.9055 0.5971
Mg 0.0945 0.5662 0.4029
Mg 0.0945 0.9338 0.9029
Mg 0.4055 0.5662 0.9029
Mg 0.4055 0.9338 0.4029
Mg 0.4338 0.5945 0.5971
Mg 0.4338 0.9055 0.0971
Mg 0.5662 0.0945 0.9029
Mg 0.5662 0.4055 0.4029
Mg 0.5945 0.0662 0.5971
Mg 0.5945 0.4338 0.0971
Mg 0.9055 0.0662 0.0971
Mg 0.9055 0.4338 0.5971
Mg 0.9338 0.0945 0.4029
Mg 0.9338 0.4055 0.9029
Al 0.2500 0.2500 0.2187
Al 0.2500 0.2500 0.7187
Al 0.7500 0.7500 0.2813
Al 0.7500 0.7500 0.7813
Si 0.1173 0.6173 0.7500
Si 0.1173 0.8827 0.2500
Si 0.2500 0.2500 0.0162
Si 0.2500 0.2500 0.5162
Si 0.3827 0.6173 0.2500
Si 0.3827 0.8827 0.7500
Si 0.6173 0.1173 0.2500
Si 0.6173 0.3827 0.7500
Si 0.7500 0.7500 0.4838
Si 0.7500 0.7500 0.9838
Si 0.8827 0.1173 0.7500
Si 0.8827 0.3827 0.2500

Computed properties:
The energy of formation is -0.009 eV/atom. The calculation puts the calculated total energy at -3.339 eV/atom. As for the spin magnetization: 0.00 μB per formula unit.